This record from the Materials Project database describes a geometry-optimized ThFe5 structure. The functional is meta-GGA r2SCAN.

Cell and atoms, written as POSCAR:
```
ThFe5
1.0
2.5438 -4.4059 0.0000
2.5438 4.4059 0.0000
0.0000 0.0000 4.0761
Th Fe
1 5
direct
0.0000 0.0000 0.0000
0.5000 0.5000 0.5000
0.3333 0.6667 0.0000
0.6667 0.3333 0.0000
0.0000 0.5000 0.5000
0.5000 0.0000 0.5000
```

The value obtained for the formation energy is 0.017 eV per atom. The space-group type is P6/mmm, No. 191.